Entry from the Materials Project: a geometry-optimized NaBiS2 structure (PBE).

```
data_NaBiS2
_chemical_formula_sum 'Na8 Bi8 S16'
_cell_length_a 8.141
_cell_length_b 11.796
_cell_length_c 8.171
_cell_angle_alpha 90.00
_cell_angle_beta 90.00
_cell_angle_gamma 90.00
_symmetry_space_group_name_H-M 'F d d 2'
_symmetry_Int_Tables_number 43
_symmetry_space_group_name_Hall 'F 2 -2d'
loop_
_atom_site_label
_atom_site_type_symbol
_atom_site_fract_x
_atom_site_fract_y
_atom_site_fract_z
Na1 Na 0.000 0.000 0.000
Bi1 Bi 0.000 0.000 0.484
S1 S 0.010 0.241 0.511
```

Calculated values
Theoretical density, g/cm³: 5.0
VASP energy, eV/atom: -4.090
Piezoelectric modulus e_max, C/m2: 10.68
Crystal system: orthorhombic
Formation enthalpy at 0 K, meV/atom: -970